1.
This record from Materials Project describes crystalline RbPbCl3 at its relaxed geometry. The functional is PBE. Values from VASP.

Calculated values
The value obtained for the calculated formation energy is -1829 meV per atom. The volume is 186.76 Å³ per cell. The value obtained for the magnetization is 0.00 μB per formula unit.

Cell and atoms, written as Quantum ESPRESSO input:
```
&SYSTEM
  ibrav = 0, nat = 5, ntyp = 3
/
ATOMIC_SPECIES
Cl 35.45 Cl.upf
Rb 85.47 Rb.upf
Pb 207.20 Pb.upf
CELL_PARAMETERS angstrom
-4.634 2.637 -2.065
-1.742 -4.914 -2.346
-2.865 -1.275 4.777
ATOMIC_POSITIONS crystal
Cl 0.004 0.506 0.483
Rb 0.005 0.005 0.999
Pb 0.504 0.504 0.486
Cl 0.506 0.004 0.483
Cl 0.492 0.492 0.985
```

2.
This record from Materials Project describes crystalline Rb6Pb5Cl16 at its relaxed geometry. The functional is PBE. Values from VASP.

Calculated values
The value obtained for the calculated formation energy is -1869 meV per atom. The volume is 1632.92 Å³ per cell. The value obtained for the magnetization is 0.00 μB per formula unit.

Cell and atoms, written as Quantum ESPRESSO input:
```
&SYSTEM
  ibrav = 0, nat = 54, ntyp = 3
/
ATOMIC_SPECIES
Cl 35.45 Cl.upf
Pb 207.20 Pb.upf
Rb 85.47 Rb.upf
CELL_PARAMETERS angstrom
8.523 8.399 0.000
-8.523 8.399 0.000
0.000 0.024 11.406
ATOMIC_POSITIONS crystal
Cl 0.573 0.202 0.216
Cl 0.052 0.298 0.789
Cl 0.908 0.296 0.502
Cl 0.700 0.933 0.786
Cl 0.948 0.702 0.211
Pb 0.498 0.003 0.342
Cl 0.704 0.092 0.498
Cl 0.487 0.487 0.290
Cl 0.341 0.341 0.020
Pb 0.676 0.676 0.738
Cl 0.092 0.704 0.498
Cl 0.067 0.300 0.214
Rb 0.323 0.323 0.735
Rb 0.500 0.000 0.000
Cl 0.798 0.427 0.784
Cl 0.933 0.700 0.786
Pb 0.829 0.179 0.744
Cl 0.702 0.948 0.211
Cl 0.159 0.841 0.000
Pb 0.997 0.502 0.658
Pb 0.821 0.171 0.256
Cl 0.300 0.067 0.214
Cl 0.581 0.198 0.786
Cl 0.411 0.195 0.491
Rb 0.874 0.874 0.000
Cl 0.202 0.573 0.216
Pb 0.003 0.498 0.342
Cl 0.419 0.802 0.214
Cl 0.841 0.159 0.000
Cl 0.805 0.589 0.509
Cl 0.195 0.411 0.491
Rb 0.637 0.363 0.500
Rb 0.136 0.136 0.498
Cl 0.589 0.805 0.509
Cl 0.659 0.659 0.980
Cl 0.000 0.000 0.717
Rb 0.000 0.500 0.000
Rb 0.677 0.677 0.265
Pb 0.324 0.324 0.262
Rb 0.126 0.126 0.000
Pb 0.502 0.997 0.658
Rb 0.622 0.378 0.000
Cl 0.298 0.052 0.789
Rb 0.864 0.864 0.502
Cl 0.000 0.000 0.283
Cl 0.296 0.908 0.502
Cl 0.198 0.581 0.786
Pb 0.171 0.821 0.256
Cl 0.427 0.798 0.784
Rb 0.378 0.622 0.000
Cl 0.513 0.513 0.710
Pb 0.179 0.829 0.744
Cl 0.802 0.419 0.214
Rb 0.363 0.637 0.500
```

3.
This record from Materials Project describes crystalline TlPb2Cl5 at its relaxed geometry. The functional is PBE. Values from VASP.

Calculated values
The value obtained for the calculated formation energy is -1515 meV per atom. The volume is 935.49 Å³ per cell.

Cell and atoms, written as Quantum ESPRESSO input:
```
&SYSTEM
  ibrav = 0, nat = 32, ntyp = 3
/
ATOMIC_SPECIES
Tl 204.38 Tl.upf
Cl 35.45 Cl.upf
Pb 207.20 Pb.upf
CELL_PARAMETERS angstrom
8.092 0.000 0.000
0.000 9.043 0.000
0.000 0.012 12.783
ATOMIC_POSITIONS crystal
Tl 0.546 0.512 0.332
Cl 0.826 0.537 0.583
Pb 0.004 0.992 0.175
Pb 0.938 0.253 0.505
Cl 0.847 0.777 0.313
Cl 0.835 0.960 0.600
Cl 0.174 0.463 0.417
Cl 0.674 0.537 0.083
Cl 0.815 0.228 0.282
Cl 0.326 0.463 0.917
Pb 0.062 0.747 0.495
Cl 0.315 0.772 0.218
Cl 0.665 0.960 0.100
Cl 0.455 0.783 0.498
Cl 0.653 0.777 0.813
Cl 0.335 0.040 0.900
Pb 0.996 0.008 0.825
Pb 0.562 0.253 0.005
Cl 0.153 0.223 0.687
Cl 0.347 0.223 0.187
Cl 0.185 0.772 0.718
Tl 0.454 0.488 0.668
Cl 0.165 0.040 0.400
Cl 0.545 0.217 0.502
Tl 0.046 0.488 0.168
Pb 0.496 0.992 0.675
Cl 0.045 0.783 0.998
Pb 0.438 0.747 0.995
Tl 0.954 0.512 0.832
Pb 0.504 0.008 0.325
Cl 0.685 0.228 0.782
Cl 0.955 0.217 0.002
```

4.
This record from Materials Project describes crystalline TlPbCl3 at its relaxed geometry. The functional is PBE. Values from VASP.

Calculated values
The value obtained for the calculated formation energy is -1442 meV per atom. The volume is 1153.26 Å³ per cell. The value obtained for the magnetization is 0.00 μB per formula unit.

Cell and atoms, written as Quantum ESPRESSO input:
```
&SYSTEM
  ibrav = 0, nat = 40, ntyp = 3
/
ATOMIC_SPECIES
Cl 35.45 Cl.upf
Pb 207.20 Pb.upf
Tl 204.38 Tl.upf
CELL_PARAMETERS angstrom
0.000 8.481 8.634
7.875 0.000 8.634
7.875 8.481 0.000
ATOMIC_POSITIONS crystal
Cl 0.890 0.111 0.110
Cl 0.384 0.637 0.616
Cl 0.218 0.143 0.559
Pb 0.839 0.492 0.161
Cl 0.655 0.586 0.693
Cl 0.143 0.218 0.080
Cl 0.687 0.687 0.313
Cl 0.332 0.427 0.300
Tl 0.650 0.349 0.027
Cl 0.313 0.313 0.687
Cl 0.637 0.384 0.363
Tl 0.526 0.155 0.474
Tl 0.996 0.497 0.503
Cl 0.197 0.815 0.185
Tl 0.497 0.996 0.004
Pb 0.866 0.866 0.134
Tl 0.155 0.526 0.845
Cl 0.561 0.064 0.215
Pb 0.342 0.639 0.361
Pb 0.639 0.342 0.658
Cl 0.920 0.441 0.857
Pb 0.492 0.839 0.508
Pb 0.747 0.747 0.753
Cl 0.840 0.785 0.936
Cl 0.934 0.307 0.414
Cl 0.427 0.332 0.941
Cl 0.059 0.700 0.573
Cl 0.586 0.655 0.066
Tl 0.025 0.973 0.651
Cl 0.064 0.561 0.160
Cl 0.307 0.934 0.345
Pb 0.247 0.247 0.253
Cl 0.441 0.920 0.782
Tl 0.349 0.650 0.975
Cl 0.815 0.197 0.803
Tl 0.973 0.025 0.350
Cl 0.111 0.890 0.889
Pb 0.150 0.150 0.850
Cl 0.785 0.840 0.439
Cl 0.700 0.059 0.668
```

5.
This record from Materials Project describes crystalline PdSCl at its relaxed geometry. The functional is PBE. Values from VASP.

Calculated values
The value obtained for the calculated formation energy is -775 meV per atom. The volume is 1284.25 Å³ per cell.

Cell and atoms, written as Quantum ESPRESSO input:
```
&SYSTEM
  ibrav = 0, nat = 48, ntyp = 3
/
ATOMIC_SPECIES
Pd 106.42 Pd.upf
S 32.06 S.upf
Cl 35.45 Cl.upf
CELL_PARAMETERS angstrom
-4.192 -6.842 5.352
7.959 -4.717 0.204
11.386 2.534 12.159
ATOMIC_POSITIONS crystal
Pd 0.422 0.726 0.978
Pd 0.380 0.309 0.861
Pd 0.595 0.078 0.822
S 0.263 0.113 0.587
Pd 0.793 0.043 0.982
S 0.763 0.887 0.913
Pd 0.293 0.957 0.518
Cl 0.536 0.136 0.185
Cl 0.036 0.864 0.315
Pd 0.120 0.309 0.361
Cl 0.565 0.702 0.274
S 0.846 0.665 0.512
Pd 0.405 0.922 0.178
S 0.096 0.587 0.638
S 0.735 0.263 0.837
Pd 0.905 0.078 0.322
Pd 0.707 0.043 0.482
S 0.346 0.335 0.988
Cl 0.964 0.136 0.685
Cl 0.651 0.797 0.628
Pd 0.880 0.691 0.639
Pd 0.620 0.691 0.139
Cl 0.065 0.298 0.226
Cl 0.822 0.228 0.040
Cl 0.349 0.203 0.372
Cl 0.178 0.772 0.960
Cl 0.935 0.702 0.774
S 0.654 0.665 0.012
S 0.737 0.887 0.413
Cl 0.678 0.228 0.540
Pd 0.078 0.726 0.478
Cl 0.435 0.298 0.726
Pd 0.207 0.957 0.018
Cl 0.151 0.203 0.872
Cl 0.322 0.772 0.460
S 0.235 0.737 0.663
S 0.154 0.335 0.488
S 0.596 0.413 0.862
Pd 0.095 0.922 0.678
S 0.265 0.737 0.163
Pd 0.578 0.274 0.022
S 0.404 0.587 0.138
Cl 0.464 0.864 0.815
S 0.237 0.113 0.087
Cl 0.849 0.797 0.128
Pd 0.922 0.274 0.522
S 0.904 0.413 0.362
S 0.765 0.263 0.337
```

6.
This record from Materials Project describes crystalline PdSCl at its relaxed geometry. The functional is PBE. Values from VASP.

Calculated values
The value obtained for the calculated formation energy is -755 meV per atom. The volume is 950.86 Å³ per cell. The value obtained for the magnetization is 0.00 μB per formula unit.

Cell and atoms, written as Quantum ESPRESSO input:
```
&SYSTEM
  ibrav = 0, nat = 36, ntyp = 3
/
ATOMIC_SPECIES
S 32.06 S.upf
Pd 106.42 Pd.upf
Cl 35.45 Cl.upf
CELL_PARAMETERS angstrom
12.684 0.000 0.000
0.000 8.298 0.000
0.000 3.573 9.035
ATOMIC_POSITIONS crystal
S 0.628 0.027 0.397
Pd 0.634 0.601 0.440
S 0.872 0.027 0.397
Pd 0.750 0.838 0.547
Pd 0.366 0.103 0.897
Pd 0.366 0.399 0.560
Cl 0.110 0.360 0.328
S 0.334 0.397 0.795
Cl 0.890 0.640 0.672
S 0.128 0.973 0.603
Pd 0.750 0.134 0.210
S 0.834 0.603 0.205
Cl 0.250 0.646 0.457
Cl 0.610 0.640 0.672
S 0.043 0.145 0.681
Cl 0.750 0.920 0.899
Pd 0.866 0.601 0.440
Cl 0.611 0.207 0.028
Cl 0.389 0.793 0.972
Pd 0.634 0.897 0.103
S 0.372 0.973 0.603
S 0.957 0.855 0.319
Pd 0.134 0.399 0.560
S 0.166 0.397 0.795
Pd 0.250 0.162 0.453
Pd 0.250 0.866 0.790
Cl 0.750 0.354 0.543
Cl 0.111 0.793 0.972
Pd 0.866 0.897 0.103
S 0.666 0.603 0.205
Cl 0.889 0.207 0.028
Pd 0.134 0.103 0.897
S 0.543 0.855 0.319
Cl 0.390 0.360 0.328
Cl 0.250 0.080 0.101
S 0.457 0.145 0.681
```

7.
This record from Materials Project describes crystalline PdSe2Cl6 at its relaxed geometry. The functional is PBE. Values from VASP.

Calculated values
The value obtained for the calculated formation energy is -789 meV per atom. The volume is 587.49 Å³ per cell.

Cell and atoms, written as Quantum ESPRESSO input:
```
&SYSTEM
  ibrav = 0, nat = 18, ntyp = 3
/
ATOMIC_SPECIES
Cl 35.45 Cl.upf
Se 78.96 Se.upf
Pd 106.42 Pd.upf
CELL_PARAMETERS angstrom
4.400 8.824 0.000
-4.400 8.824 0.000
0.000 1.482 7.565
ATOMIC_POSITIONS crystal
Cl 0.087 0.763 0.535
Se 0.265 0.931 0.434
Cl 0.086 0.335 0.768
Cl 0.523 0.689 0.456
Cl 0.913 0.237 0.465
Cl 0.477 0.311 0.544
Pd 0.837 0.163 0.750
Cl 0.763 0.087 0.035
Se 0.931 0.265 0.934
Cl 0.689 0.523 0.956
Pd 0.163 0.837 0.250
Cl 0.914 0.665 0.232
Cl 0.237 0.913 0.965
Se 0.069 0.735 0.066
Cl 0.335 0.086 0.268
Cl 0.665 0.914 0.732
Cl 0.311 0.477 0.044
Se 0.735 0.069 0.566
```

8.
This record from Materials Project describes crystalline PdSe6Cl2 at its relaxed geometry. The functional is PBE. Values from VASP.

Calculated values
The value obtained for the calculated formation energy is -331 meV per atom. The volume is 552.45 Å³ per cell. The value obtained for the magnetization is 0.00 μB per formula unit.

Cell and atoms, written as Quantum ESPRESSO input:
```
&SYSTEM
  ibrav = 0, nat = 18, ntyp = 3
/
ATOMIC_SPECIES
Cl 35.45 Cl.upf
Se 78.96 Se.upf
Pd 106.42 Pd.upf
CELL_PARAMETERS angstrom
8.602 0.000 0.000
0.000 4.954 0.000
0.000 2.834 12.964
ATOMIC_POSITIONS crystal
Cl 0.037 0.354 0.856
Cl 0.463 0.354 0.356
Se 0.768 0.161 0.507
Se 0.121 0.180 0.353
Se 0.232 0.839 0.493
Se 0.621 0.820 0.147
Pd 0.000 0.000 0.000
Se 0.369 0.005 0.139
Se 0.631 0.995 0.861
Se 0.379 0.180 0.853
Se 0.869 0.995 0.361
Cl 0.537 0.646 0.644
Se 0.732 0.161 0.007
Pd 0.500 0.000 0.500
Se 0.879 0.820 0.647
Se 0.131 0.005 0.639
Cl 0.963 0.646 0.144
Se 0.268 0.839 0.993
```

9.
This record from Materials Project describes crystalline Te2PdCl10 at its relaxed geometry. The functional is PBE. Values from VASP.

Calculated values
The value obtained for the calculated formation energy is -1042 meV per atom. The volume is 1789.54 Å³ per cell. The value obtained for the magnetization is 0.00 μB per formula unit.

Cell and atoms, written as Quantum ESPRESSO input:
```
&SYSTEM
  ibrav = 0, nat = 52, ntyp = 3
/
ATOMIC_SPECIES
Te 127.60 Te.upf
Cl 35.45 Cl.upf
Pd 106.42 Pd.upf
CELL_PARAMETERS angstrom
7.781 0.000 0.000
0.000 14.368 0.000
0.000 0.052 16.006
ATOMIC_POSITIONS crystal
Te 0.931 0.242 0.046
Cl 0.705 0.091 0.086
Cl 0.634 0.137 0.477
Te 0.098 0.059 0.787
Cl 0.205 0.409 0.414
Cl 0.823 0.877 0.876
Cl 0.568 0.285 0.755
Cl 0.795 0.591 0.586
Cl 0.866 0.637 0.977
Cl 0.135 0.541 0.217
Cl 0.936 0.004 0.671
Cl 0.805 0.832 0.497
Cl 0.134 0.363 0.023
Cl 0.232 0.636 0.424
Pd 0.267 0.515 0.519
Cl 0.068 0.215 0.745
Cl 0.365 0.041 0.717
Cl 0.635 0.959 0.283
Cl 0.932 0.785 0.255
Cl 0.177 0.123 0.124
Cl 0.432 0.715 0.245
Cl 0.695 0.332 0.997
Cl 0.366 0.863 0.523
Pd 0.733 0.485 0.481
Cl 0.703 0.605 0.385
Cl 0.305 0.668 0.003
Cl 0.732 0.864 0.076
Te 0.569 0.742 0.546
Pd 0.233 0.015 0.019
Cl 0.323 0.623 0.624
Te 0.431 0.258 0.454
Te 0.902 0.941 0.213
Cl 0.117 0.715 0.815
Cl 0.564 0.504 0.171
Cl 0.064 0.996 0.329
Cl 0.797 0.105 0.885
Te 0.598 0.441 0.713
Cl 0.768 0.364 0.576
Cl 0.865 0.459 0.783
Cl 0.436 0.496 0.829
Pd 0.767 0.985 0.981
Cl 0.617 0.785 0.685
Cl 0.297 0.395 0.615
Te 0.069 0.758 0.954
Cl 0.383 0.215 0.315
Cl 0.677 0.377 0.376
Cl 0.295 0.909 0.914
Cl 0.268 0.136 0.924
Cl 0.883 0.285 0.185
Te 0.402 0.559 0.287
Cl 0.203 0.895 0.115
Cl 0.195 0.168 0.503
```

10.
This record from Materials Project describes crystalline Tl4Pd3Cl10 at its relaxed geometry. The functional is PBE. Values from VASP.

Calculated values
The value obtained for the calculated formation energy is -1109 meV per atom. The volume is 1939.93 Å³ per cell. The value obtained for the magnetization is 0.00 μB per formula unit.

Cell and atoms, written as Quantum ESPRESSO input:
```
&SYSTEM
  ibrav = 0, nat = 68, ntyp = 3
/
ATOMIC_SPECIES
Cl 35.45 Cl.upf
Tl 204.38 Tl.upf
Pd 106.42 Pd.upf
CELL_PARAMETERS angstrom
-7.171 -8.725 -7.692
-0.972 -1.508 13.546
-4.986 12.418 -2.765
ATOMIC_POSITIONS crystal
Cl 0.612 0.901 0.552
Tl 0.905 0.196 0.803
Cl 0.901 0.849 0.211
Tl 0.867 0.875 0.492
Pd 0.255 0.848 0.380
Tl 0.857 0.554 0.208
Cl 0.638 0.690 0.789
Cl 0.146 0.416 0.504
Cl 0.625 0.334 0.209
Cl 0.644 0.595 0.254
Cl 0.666 0.896 0.004
Pd 0.124 0.745 0.592
Tl 0.393 0.101 0.197
Cl 0.584 0.089 0.730
Cl 0.405 0.659 0.049
Cl 0.359 0.854 0.270
Tl 0.608 0.108 0.500
Pd 0.152 0.532 0.408
Pd 0.782 0.902 0.908
Tl 0.804 0.607 0.708
Cl 0.666 0.875 0.291
Tl 0.358 0.358 0.000
Cl 0.151 0.362 0.052
Cl 0.910 0.117 0.023
Pd 0.625 0.476 0.351
Tl 0.345 0.649 0.792
Tl 0.642 0.642 0.000
Cl 0.099 0.651 0.711
Cl 0.094 0.887 0.977
Pd 0.726 0.375 0.851
Cl 0.640 0.091 0.246
Cl 0.156 0.633 0.293
Cl 0.868 0.375 0.993
Pd 0.995 0.874 0.092
Tl 0.625 0.133 0.008
Pd 0.098 0.005 0.880
Tl 0.351 0.143 0.697
Cl 0.340 0.863 0.707
Cl 0.911 0.641 0.496
Tl 0.446 0.655 0.303
Cl 0.909 0.155 0.549
Cl 0.137 0.844 0.477
Pd 0.524 0.875 0.149
Cl 0.845 0.394 0.754
Cl 0.606 0.360 0.451
Cl 0.367 0.660 0.523
Cl 0.883 0.906 0.793
Cl 0.610 0.356 0.951
Cl 0.125 0.416 0.791
Cl 0.104 0.109 0.770
Tl 0.383 0.375 0.508
Cl 0.125 0.132 0.507
Cl 0.310 0.099 0.948
Cl 0.891 0.661 0.996
Pd 0.468 0.876 0.620
Cl 0.339 0.334 0.230
Tl 0.899 0.095 0.292
Cl 0.584 0.375 0.709
Pd 0.125 0.274 0.649
Cl 0.940 0.388 0.289
Pd 0.126 0.218 0.120
Cl 0.341 0.390 0.746
Cl 0.625 0.618 0.493
Cl 0.113 0.090 0.207
Cl 0.349 0.060 0.448
Tl 0.125 0.617 0.992
Cl 0.382 0.875 0.007
Tl 0.892 0.392 0.500
```